Entry A
The following is a PBE+U calculation of a geometry-optimized Li4TiCo5O12 structure, from the Materials Project database.

Results
Crystal system   triclinic
Total moment   0.000 μB/atom

abc: 4.947 8.662 10.835
angles: 113.30 94.93 90.14
Space group P1 (No. 1)
One atom of each set of equivalent atoms:
Li 0.000 0.000 0.000 [1 per cell]
Li 0.005 0.335 0.999 [1 per cell]
Li 0.409 0.584 0.494 [1 per cell]
Li 0.419 0.247 0.493 [1 per cell]
Li 0.497 0.499 0.999 [1 per cell]
Li 0.504 0.835 0.999 [1 per cell]
Li 0.913 0.083 0.494 [1 per cell]
Li 0.919 0.745 0.494 [1 per cell]
Ti 0.458 0.038 0.747 [1 per cell]
Ti 0.959 0.538 0.747 [1 per cell]
Co 0.207 0.284 0.246 [1 per cell]
Co 0.208 0.617 0.247 [1 per cell]
Co 0.210 0.948 0.247 [1 per cell]
Co 0.459 0.371 0.746 [1 per cell]
Co 0.459 0.704 0.747 [1 per cell]
Co 0.707 0.452 0.247 [1 per cell]
Co 0.707 0.783 0.247 [1 per cell]
Co 0.709 0.121 0.246 [1 per cell]
Co 0.958 0.204 0.747 [1 per cell]
Co 0.959 0.871 0.747 [1 per cell]
O 0.047 0.169 0.352 [1 per cell]
O 0.052 0.829 0.351 [1 per cell]
O 0.073 0.518 0.355 [1 per cell]
O 0.136 0.090 0.852 [1 per cell]
O 0.149 0.419 0.851 [1 per cell]
O 0.149 0.761 0.852 [1 per cell]
O 0.268 0.156 0.641 [1 per cell]
O 0.268 0.815 0.642 [1 per cell]
O 0.281 0.486 0.641 [1 per cell]
O 0.341 0.409 0.141 [1 per cell]
O 0.364 0.724 0.142 [1 per cell]
O 0.373 0.061 0.140 [1 per cell]
O 0.545 0.665 0.355 [1 per cell]
O 0.548 0.331 0.348 [1 per cell]
O 0.567 0.019 0.352 [1 per cell]
O 0.636 0.590 0.852 [1 per cell]
O 0.648 0.261 0.852 [1 per cell]
O 0.649 0.919 0.852 [1 per cell]
O 0.768 0.656 0.641 [1 per cell]
O 0.769 0.315 0.641 [1 per cell]
O 0.781 0.985 0.641 [1 per cell]
O 0.851 0.913 0.141 [1 per cell]
O 0.869 0.556 0.139 [1 per cell]
O 0.871 0.229 0.144 [1 per cell]


Entry B
The following is a PBE+U calculation of a geometry-optimized Li4TiCo5O12 structure, from the Materials Project database.

Results
Crystal system   triclinic
Total moment   0.182 μB/atom

abc: 5.000 5.015 20.163
angles: 90.26 90.51 118.39
Space group P1 (No. 1)
One atom of each set of equivalent atoms:
Li 0.000 0.000 0.000 [1 per cell]
Li 0.001 0.020 0.502 [1 per cell]
Li 0.277 0.283 0.755 [1 per cell]
Li 0.280 0.271 0.254 [1 per cell]
Li 0.500 0.499 0.999 [1 per cell]
Li 0.512 0.508 0.502 [1 per cell]
Li 0.769 0.781 0.253 [1 per cell]
Li 0.776 0.784 0.755 [1 per cell]
Ti 0.124 0.643 0.127 [1 per cell]
Ti 0.139 0.647 0.628 [1 per cell]
Co 0.301 0.482 0.378 [1 per cell]
Co 0.302 0.481 0.877 [1 per cell]
Co 0.471 0.312 0.127 [1 per cell]
Co 0.473 0.311 0.628 [1 per cell]
Co 0.638 0.145 0.378 [1 per cell]
Co 0.638 0.145 0.877 [1 per cell]
Co 0.800 0.982 0.126 [1 per cell]
Co 0.803 0.981 0.628 [1 per cell]
Co 0.973 0.810 0.877 [1 per cell]
Co 0.974 0.809 0.378 [1 per cell]
O 0.104 0.955 0.183 [1 per cell]
O 0.105 0.957 0.684 [1 per cell]
O 0.161 0.323 0.073 [1 per cell]
O 0.173 0.338 0.572 [1 per cell]
O 0.308 0.152 0.926 [1 per cell]
O 0.310 0.818 0.831 [1 per cell]
O 0.321 0.830 0.329 [1 per cell]
O 0.329 0.163 0.430 [1 per cell]
O 0.450 0.612 0.684 [1 per cell]
O 0.456 0.620 0.181 [1 per cell]
O 0.469 0.983 0.079 [1 per cell]
O 0.476 0.985 0.580 [1 per cell]
O 0.620 0.455 0.325 [1 per cell]
O 0.631 0.475 0.828 [1 per cell]
O 0.644 0.815 0.926 [1 per cell]
O 0.656 0.836 0.430 [1 per cell]
O 0.800 0.324 0.177 [1 per cell]
O 0.801 0.308 0.676 [1 per cell]
O 0.828 0.667 0.069 [1 per cell]
O 0.829 0.682 0.573 [1 per cell]
O 0.947 0.128 0.325 [1 per cell]
O 0.954 0.460 0.426 [1 per cell]
O 0.965 0.473 0.924 [1 per cell]
O 0.966 0.138 0.828 [1 per cell]


Entry C
The following is a PBE+U calculation of a geometry-optimized Li4TiCo5O12 structure, from the Materials Project database.

Results
Crystal system   triclinic
Total moment   0.046 μB/atom

abc: 4.949 4.976 19.960
angles: 93.48 92.74 119.69
Space group P1 (No. 1)
One atom of each set of equivalent atoms:
Li 0.000 0.000 0.000 [1 per cell]
Li 0.057 0.063 0.253 [1 per cell]
Li 0.160 0.855 0.498 [1 per cell]
Li 0.229 0.921 0.757 [1 per cell]
Li 0.511 0.511 0.501 [1 per cell]
Li 0.577 0.573 0.754 [1 per cell]
Li 0.656 0.356 0.997 [1 per cell]
Li 0.719 0.420 0.256 [1 per cell]
Ti 0.359 0.717 0.127 [1 per cell]
Ti 0.862 0.215 0.627 [1 per cell]
Co 0.038 0.033 0.127 [1 per cell]
Co 0.112 0.465 0.377 [1 per cell]
Co 0.206 0.865 0.627 [1 per cell]
Co 0.278 0.301 0.877 [1 per cell]
Co 0.447 0.125 0.377 [1 per cell]
Co 0.540 0.531 0.628 [1 per cell]
Co 0.613 0.968 0.877 [1 per cell]
Co 0.703 0.366 0.127 [1 per cell]
Co 0.781 0.797 0.377 [1 per cell]
Co 0.946 0.635 0.877 [1 per cell]
O 0.029 0.699 0.069 [1 per cell]
O 0.046 0.377 0.179 [1 per cell]
O 0.053 0.768 0.321 [1 per cell]
O 0.138 0.134 0.429 [1 per cell]
O 0.196 0.519 0.575 [1 per cell]
O 0.234 0.220 0.678 [1 per cell]
O 0.277 0.630 0.827 [1 per cell]
O 0.291 0.005 0.929 [1 per cell]
O 0.351 0.338 0.076 [1 per cell]
O 0.369 0.042 0.185 [1 per cell]
O 0.434 0.439 0.327 [1 per cell]
O 0.460 0.808 0.427 [1 per cell]
O 0.530 0.197 0.570 [1 per cell]
O 0.549 0.877 0.680 [1 per cell]
O 0.579 0.287 0.825 [1 per cell]
O 0.645 0.648 0.928 [1 per cell]
O 0.694 0.020 0.074 [1 per cell]
O 0.730 0.721 0.177 [1 per cell]
O 0.768 0.115 0.328 [1 per cell]
O 0.812 0.519 0.431 [1 per cell]
O 0.853 0.837 0.577 [1 per cell]
O 0.872 0.542 0.685 [1 per cell]
O 0.934 0.932 0.825 [1 per cell]
O 0.947 0.306 0.927 [1 per cell]


Verdict on stability: entry C comes out on top.